Record 1
## NbInP2SO12 (PBE)

Data for an optimized crystal structure of NbInP2SO12. Values from VASP.

Computed properties:
* corrected total energy (MP2020 scheme): -0.5590 Ry/atom
* ΔH_f (0 K): -2.48 eV per atom
* M_tot: 0.00 μB/cell

```
&SYSTEM
  ibrav = 0, nat = 102, ntyp = 5
/
ATOMIC_SPECIES
Nb 92.91 Nb.upf
In 114.82 In.upf
P 30.97 P.upf
S 32.06 S.upf
O 16.00 O.upf
CELL_PARAMETERS angstrom
-8.520 -0.623 2.406
6.422 -1.702 5.929
0.060 22.106 5.940
ATOMIC_POSITIONS crystal
Nb 0.993 0.006 0.642
Nb 0.014 0.006 0.142
Nb 0.659 0.340 0.975
Nb 0.680 0.340 0.475
Nb 0.326 0.673 0.309
Nb 0.347 0.673 0.809
In 0.998 0.001 0.355
In 0.003 0.001 0.855
In 0.665 0.335 0.688
In 0.670 0.335 0.188
In 0.332 0.668 0.022
In 0.336 0.668 0.522
P 0.288 0.003 0.250
P 0.002 0.286 0.251
P 0.285 0.286 0.751
P 0.715 0.003 0.750
P 0.955 0.337 0.584
P 0.668 0.620 0.584
P 0.951 0.620 0.084
P 0.382 0.337 0.084
P 0.621 0.670 0.917
P 0.335 0.953 0.917
P 0.618 0.953 0.417
P 0.049 0.670 0.417
S 0.708 0.713 0.250
S 0.005 0.713 0.750
S 0.375 0.047 0.583
S 0.672 0.047 0.083
S 0.041 0.380 0.916
S 0.339 0.380 0.416
O 0.207 0.028 0.305
O 0.812 0.786 0.303
O 0.973 0.181 0.305
O 0.208 0.181 0.805
O 0.975 0.786 0.803
O 0.820 0.028 0.805
O 0.802 0.968 0.695
O 0.162 0.194 0.696
O 0.036 0.825 0.698
O 0.789 0.825 0.198
O 0.032 0.194 0.196
O 0.166 0.968 0.195
O 0.874 0.361 0.638
O 0.478 0.120 0.636
O 0.639 0.514 0.638
O 0.874 0.514 0.138
O 0.641 0.120 0.136
O 0.487 0.361 0.138
O 0.469 0.301 0.029
O 0.829 0.527 0.029
O 0.703 0.158 0.031
O 0.456 0.158 0.531
O 0.699 0.527 0.529
O 0.832 0.301 0.529
O 0.541 0.694 0.972
O 0.145 0.453 0.970
O 0.306 0.847 0.972
O 0.541 0.847 0.472
O 0.308 0.453 0.470
O 0.154 0.694 0.472
O 0.136 0.635 0.362
O 0.496 0.861 0.362
O 0.369 0.491 0.365
O 0.122 0.491 0.865
O 0.365 0.861 0.862
O 0.499 0.635 0.862
O 0.013 0.816 0.406
O 0.800 0.989 0.407
O 0.193 0.205 0.409
O 0.012 0.205 0.909
O 0.189 0.989 0.907
O 0.802 0.816 0.906
O 0.964 0.163 0.592
O 0.199 0.034 0.592
O 0.841 0.802 0.594
O 0.960 0.802 0.094
O 0.835 0.034 0.092
O 0.199 0.163 0.092
O 0.680 0.149 0.740
O 0.467 0.322 0.740
O 0.860 0.538 0.742
O 0.679 0.538 0.242
O 0.855 0.322 0.240
O 0.469 0.149 0.240
O 0.630 0.496 0.926
O 0.866 0.367 0.925
O 0.508 0.135 0.928
O 0.627 0.135 0.428
O 0.501 0.367 0.425
O 0.866 0.496 0.426
O 0.347 0.482 0.073
O 0.134 0.656 0.073
O 0.526 0.872 0.075
O 0.345 0.872 0.575
O 0.522 0.656 0.573
O 0.136 0.482 0.573
O 0.297 0.829 0.259
O 0.533 0.701 0.259
O 0.175 0.468 0.261
O 0.294 0.468 0.761
O 0.168 0.701 0.759
O 0.532 0.829 0.759
```


Record 2
## NbIn3P2S4O24 (PBE)

Data for an optimized crystal structure of NbIn3P2S4O24. Values from VASP.

Computed properties:
* corrected total energy (MP2020 scheme): -0.5167 Ry/atom
* ΔH_f (0 K): -2.19 eV per atom
* M_tot: 0.00 μB/cell
* symmetry: P1 (1)

```
&SYSTEM
  ibrav = 0, nat = 102, ntyp = 5
/
ATOMIC_SPECIES
Nb 92.91 Nb.upf
In 114.82 In.upf
P 30.97 P.upf
S 32.06 S.upf
O 16.00 O.upf
CELL_PARAMETERS angstrom
8.897 0.000 0.000
4.416 7.729 0.000
0.016 0.044 23.065
ATOMIC_POSITIONS crystal
Nb 0.000 0.000 0.000
Nb 0.018 0.987 0.499
Nb 0.345 0.327 0.341
In 0.009 0.989 0.792
In 0.011 0.993 0.294
In 0.346 0.329 0.627
In 0.351 0.323 0.836
In 0.351 0.325 0.126
In 0.672 0.662 0.664
In 0.674 0.657 0.459
In 0.675 0.660 0.960
In 0.680 0.653 0.168
P 0.010 0.705 0.396
P 0.299 0.993 0.395
P 0.386 0.659 0.563
P 0.678 0.371 0.063
P 0.721 0.991 0.896
P 0.727 0.277 0.396
S 0.013 0.280 0.897
S 0.050 0.616 0.731
S 0.061 0.327 0.231
S 0.296 0.707 0.897
S 0.344 0.614 0.232
S 0.345 0.034 0.730
S 0.380 0.952 0.063
S 0.632 0.035 0.231
S 0.640 0.327 0.730
S 0.683 0.952 0.562
S 0.971 0.662 0.063
S 0.973 0.361 0.563
O 0.035 0.166 0.949
O 0.035 0.788 0.736
O 0.040 0.174 0.237
O 0.047 0.793 0.449
O 0.130 0.509 0.784
O 0.146 0.514 0.071
O 0.150 0.329 0.571
O 0.155 0.344 0.282
O 0.158 0.536 0.678
O 0.162 0.302 0.177
O 0.174 0.288 0.895
O 0.176 0.028 0.448
O 0.184 0.523 0.386
O 0.185 0.800 0.949
O 0.189 0.016 0.737
O 0.191 0.785 0.239
O 0.202 0.826 0.548
O 0.207 0.968 0.051
O 0.224 0.810 0.844
O 0.224 0.961 0.341
O 0.300 0.539 0.894
O 0.306 0.168 0.386
O 0.316 0.539 0.178
O 0.317 0.141 0.678
O 0.349 0.130 0.071
O 0.351 0.509 0.571
O 0.364 0.500 0.283
O 0.371 0.115 0.783
O 0.451 0.843 0.115
O 0.453 0.707 0.617
O 0.469 0.686 0.905
O 0.481 0.852 0.407
O 0.492 0.877 0.012
O 0.499 0.628 0.510
O 0.502 0.863 0.724
O 0.506 0.622 0.228
O 0.520 0.128 0.283
O 0.529 0.336 0.071
O 0.532 0.356 0.783
O 0.534 0.126 0.571
O 0.543 0.288 0.386
O 0.548 0.160 0.894
O 0.558 0.138 0.178
O 0.561 0.297 0.678
O 0.640 0.865 0.227
O 0.648 0.482 0.009
O 0.653 0.873 0.511
O 0.658 0.482 0.723
O 0.693 0.457 0.406
O 0.707 0.831 0.909
O 0.725 0.439 0.117
O 0.725 0.843 0.615
O 0.805 0.015 0.238
O 0.813 0.172 0.736
O 0.814 0.155 0.448
O 0.824 0.012 0.951
O 0.829 0.204 0.340
O 0.833 0.960 0.843
O 0.840 0.971 0.551
O 0.845 0.186 0.049
O 0.860 0.450 0.906
O 0.861 0.705 0.115
O 0.864 0.431 0.615
O 0.867 0.668 0.410
O 0.877 0.634 0.723
O 0.892 0.490 0.228
O 0.894 0.632 0.012
O 0.896 0.472 0.512
O 0.979 0.809 0.341
O 0.987 0.187 0.551
O 0.987 0.202 0.845
O 0.993 0.818 0.052
```


Record 3
## NbInPb2O6 (PBE)

Data for an optimized crystal structure of NbInPb2O6. Values from VASP.

Computed properties:
* corrected total energy (MP2020 scheme): -0.5223 Ry/atom
* ΔH_f (0 K): -2.11 eV per atom
* M_tot: 0.00 μB/cell
* symmetry: Fm-3m (225)

```
&SYSTEM
  ibrav = 0, nat = 10, ntyp = 4
/
ATOMIC_SPECIES
Nb 92.91 Nb.upf
In 114.82 In.upf
Pb 207.20 Pb.upf
O 16.00 O.upf
CELL_PARAMETERS angstrom
0.000 4.154 4.154
4.154 0.000 4.154
4.154 4.154 0.000
ATOMIC_POSITIONS crystal
Nb 0.000 0.000 0.000
In 0.500 0.500 0.500
Pb 0.250 0.250 0.250
Pb 0.750 0.750 0.750
O 0.242 0.242 0.758
O 0.242 0.758 0.242
O 0.242 0.758 0.758
O 0.758 0.242 0.242
O 0.758 0.242 0.758
O 0.758 0.758 0.242
```


Record 4
## Nb3InSi3S3O24 (PBE)

Data for an optimized crystal structure of Nb3InSi3S3O24. Values from VASP.

Computed properties:
* corrected total energy (MP2020 scheme): -0.5774 Ry/atom
* ΔH_f (0 K): -2.55 eV per atom
* M_tot: 0.00 μB/cell
* symmetry: P1 (1)

```
&SYSTEM
  ibrav = 0, nat = 102, ntyp = 5
/
ATOMIC_SPECIES
Nb 92.91 Nb.upf
In 114.82 In.upf
Si 28.09 Si.upf
S 32.06 S.upf
O 16.00 O.upf
CELL_PARAMETERS angstrom
8.934 0.000 0.000
-4.461 7.756 0.000
-0.154 -0.256 23.042
ATOMIC_POSITIONS crystal
Nb 0.000 0.000 0.000
Nb 0.003 0.997 0.504
Nb 0.019 0.999 0.290
Nb 0.318 0.664 0.454
Nb 0.326 0.653 0.173
Nb 0.347 0.670 0.665
Nb 0.653 0.324 0.837
Nb 0.671 0.336 0.338
Nb 0.986 0.992 0.789
In 0.338 0.658 0.952
In 0.659 0.326 0.128
In 0.677 0.332 0.618
Si 0.045 0.659 0.562
Si 0.278 0.271 0.895
Si 0.289 0.998 0.397
Si 0.383 0.321 0.227
Si 0.618 0.943 0.559
Si 0.661 0.603 0.727
Si 0.711 0.996 0.894
Si 0.943 0.608 0.229
Si 0.997 0.270 0.397
S 0.043 0.369 0.062
S 0.327 0.374 0.561
S 0.329 0.941 0.061
S 0.374 0.033 0.730
S 0.623 0.659 0.061
S 0.667 0.033 0.229
S 0.713 0.707 0.396
S 0.956 0.327 0.729
S 0.993 0.705 0.895
O 0.015 0.171 0.340
O 0.016 0.809 0.843
O 0.036 0.195 0.055
O 0.042 0.838 0.550
O 0.118 0.471 0.010
O 0.128 0.477 0.722
O 0.144 0.686 0.902
O 0.145 0.638 0.216
O 0.147 0.640 0.505
O 0.156 0.453 0.114
O 0.164 0.163 0.839
O 0.164 0.202 0.556
O 0.166 0.962 0.338
O 0.168 0.954 0.054
O 0.170 0.457 0.407
O 0.172 0.684 0.619
O 0.186 0.166 0.241
O 0.188 0.144 0.953
O 0.191 0.023 0.452
O 0.198 0.004 0.742
O 0.290 0.450 0.903
O 0.302 0.455 0.615
O 0.305 0.831 0.113
O 0.308 0.826 0.404
O 0.348 0.475 0.509
O 0.350 0.861 0.009
O 0.360 0.860 0.723
O 0.361 0.496 0.215
O 0.438 0.272 0.168
O 0.442 0.136 0.678
O 0.469 0.284 0.885
O 0.474 0.346 0.567
O 0.477 0.163 0.382
O 0.480 0.113 0.068
O 0.489 0.117 0.782
O 0.490 0.626 0.719
O 0.498 0.832 0.504
O 0.505 0.857 0.218
O 0.507 0.355 0.284
O 0.517 0.632 0.009
O 0.527 0.836 0.902
O 0.528 0.816 0.618
O 0.537 0.678 0.403
O 0.542 0.689 0.114
O 0.621 0.117 0.571
O 0.629 0.109 0.279
O 0.638 0.483 0.786
O 0.649 0.511 0.067
O 0.699 0.524 0.672
O 0.699 0.531 0.389
O 0.701 0.132 0.175
O 0.712 0.175 0.881
O 0.788 0.808 0.343
O 0.798 0.820 0.053
O 0.805 0.954 0.549
O 0.807 0.997 0.240
O 0.813 0.970 0.839
O 0.822 0.783 0.448
O 0.827 0.796 0.744
O 0.831 0.296 0.382
O 0.835 0.531 0.887
O 0.841 0.021 0.952
O 0.848 0.279 0.677
O 0.850 0.538 0.168
O 0.857 0.483 0.284
O 0.863 0.492 0.563
O 0.867 0.332 0.070
O 0.872 0.350 0.781
O 0.962 0.783 0.948
O 0.966 0.149 0.453
O 0.968 0.797 0.244
O 0.981 0.171 0.740
```


Record 5
## NbInSiS2O12 (PBE)

Data for an optimized crystal structure of NbInSiS2O12. Values from VASP.

Computed properties:
* corrected total energy (MP2020 scheme): -0.5401 Ry/atom
* ΔH_f (0 K): -2.29 eV per atom
* M_tot: 0.00 μB/cell
* symmetry: Cc (9)

```
&SYSTEM
  ibrav = 0, nat = 102, ntyp = 5
/
ATOMIC_SPECIES
Nb 92.91 Nb.upf
In 114.82 In.upf
Si 28.09 Si.upf
S 32.06 S.upf
O 16.00 O.upf
CELL_PARAMETERS angstrom
7.768 -4.467 0.000
7.768 4.467 0.000
-0.128 0.000 23.127
ATOMIC_POSITIONS crystal
Nb 0.000 0.000 0.000
Nb 0.000 0.000 0.500
Nb 0.322 0.329 0.833
Nb 0.329 0.322 0.333
Nb 0.640 0.666 0.667
Nb 0.666 0.640 0.167
In 0.004 0.982 0.788
In 0.319 0.326 0.621
In 0.326 0.319 0.121
In 0.658 0.659 0.455
In 0.659 0.658 0.955
In 0.982 0.004 0.288
Si 0.286 0.987 0.892
Si 0.317 0.609 0.725
Si 0.375 0.948 0.558
Si 0.609 0.317 0.225
Si 0.948 0.375 0.058
Si 0.987 0.286 0.392
S 0.032 0.327 0.726
S 0.036 0.613 0.227
S 0.275 0.703 0.392
S 0.327 0.032 0.226
S 0.368 0.657 0.059
S 0.613 0.036 0.727
S 0.657 0.368 0.559
S 0.661 0.943 0.059
S 0.703 0.275 0.892
S 0.703 0.989 0.392
S 0.943 0.661 0.559
S 0.989 0.703 0.892
O 0.001 0.183 0.735
O 0.012 0.784 0.237
O 0.019 0.151 0.450
O 0.023 0.780 0.944
O 0.113 0.499 0.278
O 0.117 0.513 0.567
O 0.119 0.354 0.778
O 0.134 0.539 0.174
O 0.137 0.338 0.070
O 0.138 0.291 0.674
O 0.151 0.019 0.950
O 0.152 0.525 0.883
O 0.161 0.799 0.732
O 0.163 0.783 0.444
O 0.166 0.298 0.379
O 0.182 0.956 0.548
O 0.183 0.001 0.235
O 0.190 0.818 0.051
O 0.193 0.964 0.837
O 0.198 0.803 0.339
O 0.288 0.527 0.384
O 0.291 0.138 0.174
O 0.298 0.166 0.879
O 0.302 0.520 0.668
O 0.338 0.137 0.570
O 0.340 0.513 0.067
O 0.353 0.481 0.782
O 0.354 0.119 0.278
O 0.446 0.693 0.111
O 0.448 0.675 0.400
O 0.469 0.631 0.007
O 0.469 0.817 0.616
O 0.471 0.828 0.904
O 0.481 0.353 0.282
O 0.481 0.859 0.502
O 0.489 0.861 0.217
O 0.499 0.113 0.778
O 0.501 0.622 0.714
O 0.513 0.117 0.067
O 0.513 0.340 0.567
O 0.520 0.302 0.168
O 0.525 0.152 0.383
O 0.527 0.288 0.884
O 0.539 0.134 0.674
O 0.622 0.501 0.214
O 0.629 0.871 0.007
O 0.631 0.469 0.507
O 0.632 0.857 0.718
O 0.672 0.847 0.399
O 0.675 0.448 0.900
O 0.688 0.834 0.111
O 0.693 0.446 0.611
O 0.780 0.023 0.444
O 0.783 0.163 0.944
O 0.784 0.012 0.737
O 0.799 0.161 0.232
O 0.803 0.198 0.839
O 0.805 0.959 0.340
O 0.817 0.469 0.116
O 0.818 0.190 0.551
O 0.821 0.957 0.049
O 0.828 0.471 0.404
O 0.834 0.688 0.611
O 0.847 0.672 0.899
O 0.857 0.632 0.218
O 0.859 0.481 0.002
O 0.861 0.489 0.717
O 0.871 0.629 0.507
O 0.956 0.182 0.048
O 0.957 0.821 0.549
O 0.959 0.805 0.840
O 0.964 0.193 0.337
```


What did the third record say?
## NbInPb2O6 (PBE)

Data for an optimized crystal structure of NbInPb2O6. Values from VASP.

Computed properties:
* corrected total energy (MP2020 scheme): -0.5223 Ry/atom
* ΔH_f (0 K): -2.11 eV per atom
* M_tot: 0.00 μB/cell
* symmetry: Fm-3m (225)

```
&SYSTEM
  ibrav = 0, nat = 10, ntyp = 4
/
ATOMIC_SPECIES
Nb 92.91 Nb.upf
In 114.82 In.upf
Pb 207.20 Pb.upf
O 16.00 O.upf
CELL_PARAMETERS angstrom
0.000 4.154 4.154
4.154 0.000 4.154
4.154 4.154 0.000
ATOMIC_POSITIONS crystal
Nb 0.000 0.000 0.000
In 0.500 0.500 0.500
Pb 0.250 0.250 0.250
Pb 0.750 0.750 0.750
O 0.242 0.242 0.758
O 0.242 0.758 0.242
O 0.242 0.758 0.758
O 0.758 0.242 0.242
O 0.758 0.242 0.758
O 0.758 0.758 0.242
```


- Which value of ΔH_f (0 K) does entry 4 give?
  -2.55 eV per atom


- Number 3 is which compound?
  NbInPb2O6


- Number 2 is which compound?
  NbIn3P2S4O24